Below is a relaxed GdCrO3 crystal, with properties calculated at the PBE with a Hubbard U level.

Cell and atoms, written as CIF:
```
data_GdCrO3
_cell_length_a 3.8717
_cell_length_b 3.8717
_cell_length_c 3.8717
_cell_angle_alpha 90.00
_cell_angle_beta 90.00
_cell_angle_gamma 90.00
_symmetry_space_group_name_H-M 'P 1'
_symmetry_Int_Tables_number 1
loop_
_symmetry_equiv_pos_as_xyz
'x,y,z'
loop_
_atom_site_label
_atom_site_fract_x
_atom_site_fract_y
_atom_site_fract_z
O1 0.5000 0.5000 0.0000
O2 0.5000 0.0000 0.5000
O3 0.0000 0.5000 0.5000
Cr1 0.5000 0.5000 0.5000
Gd1 0.0000 0.0000 0.0000
```

Energy of formation (eV per atom): -2.939
Electronic total energy (eV per formula unit): -49.206
Space-group type: Pm-3m, No. 221